(1)
Entry from the Materials Project database: a geometry-optimized MgHAu2F11 structure (meta-GGA r2SCAN).

Results
- total energy (eV for the cell shown) = -673.1
- ΔE_f (meV/atom) = -1674
- SG = P2_1/c (14)

Unit cell a=5.313 b=15.508 c=10.244 alpha=90.00 beta=90.57 gamma=90.00
Positions (direct):
1 Mg 0.047 0.234 0.114
2 Mg 0.047 0.266 0.614
3 Mg 0.953 0.734 0.386
4 Mg 0.953 0.766 0.886
5 H 0.012 0.589 0.921
6 H 0.012 0.911 0.421
7 H 0.988 0.089 0.579
8 H 0.988 0.411 0.079
9 Au 0.287 0.025 0.244
10 Au 0.287 0.475 0.744
11 Au 0.454 0.719 0.635
12 Au 0.454 0.781 0.135
13 Au 0.546 0.219 0.865
14 Au 0.546 0.281 0.365
15 Au 0.713 0.525 0.256
16 Au 0.713 0.975 0.756
17 F 0.005 0.148 0.543
18 F 0.005 0.352 0.043
19 F 0.034 0.505 0.873
20 F 0.034 0.995 0.373
21 F 0.059 0.113 0.177
22 F 0.059 0.387 0.677
23 F 0.139 0.737 0.725
24 F 0.139 0.763 0.225
25 F 0.142 0.559 0.627
26 F 0.142 0.941 0.127
27 F 0.234 0.199 0.956
28 F 0.234 0.301 0.456
29 F 0.273 0.704 0.473
30 F 0.273 0.796 0.973
31 F 0.364 0.233 0.701
32 F 0.364 0.267 0.201
33 F 0.433 0.108 0.362
34 F 0.433 0.392 0.862
35 F 0.470 0.555 0.382
36 F 0.470 0.945 0.882
37 F 0.500 0.064 0.690
38 F 0.500 0.436 0.190
39 F 0.500 0.564 0.810
40 F 0.500 0.936 0.310
41 F 0.530 0.055 0.118
42 F 0.530 0.445 0.618
43 F 0.567 0.608 0.138
44 F 0.567 0.892 0.638
45 F 0.636 0.733 0.799
46 F 0.636 0.767 0.299
47 F 0.727 0.204 0.027
48 F 0.727 0.296 0.527
49 F 0.766 0.699 0.544
50 F 0.766 0.801 0.044
51 F 0.858 0.059 0.873
52 F 0.858 0.441 0.373
53 F 0.861 0.237 0.775
54 F 0.861 0.263 0.275
55 F 0.941 0.613 0.323
56 F 0.941 0.887 0.823
57 F 0.966 0.005 0.627
58 F 0.966 0.495 0.127
59 F 0.995 0.648 0.957
60 F 0.995 0.852 0.457

=====

(2)
Entry from the Materials Project database: a geometry-optimized RbCdCl3 structure (meta-GGA r2SCAN).

Results
- total energy (eV for the cell shown) = -243.5
- ΔE_f (meV/atom) = -1677
- SG = Pnma (62)

Unit cell a=9.044 b=4.054 c=15.053 alpha=90.00 beta=90.00 gamma=90.00
Positions (direct):
1 Rb 0.069 0.250 0.174
2 Rb 0.431 0.750 0.674
3 Rb 0.569 0.250 0.326
4 Rb 0.931 0.750 0.826
5 Cd 0.165 0.750 0.445
6 Cd 0.335 0.250 0.945
7 Cd 0.665 0.750 0.055
8 Cd 0.835 0.250 0.555
9 Cl 0.025 0.750 0.600
10 Cl 0.171 0.750 0.005
11 Cl 0.218 0.250 0.792
12 Cl 0.282 0.750 0.292
13 Cl 0.329 0.250 0.505
14 Cl 0.475 0.250 0.100
15 Cl 0.525 0.750 0.900
16 Cl 0.671 0.750 0.495
17 Cl 0.718 0.250 0.708
18 Cl 0.782 0.750 0.208
19 Cl 0.829 0.250 0.995
20 Cl 0.975 0.250 0.400

=====

(3)
Entry from the Materials Project database: a geometry-optimized Yb2AgPd structure (meta-GGA r2SCAN).

Results
- total energy (eV for the cell shown) = -120.1
- ΔE_f (meV/atom) = -682
- ΔE to the lowest computed polymorph (meV/atom) = 0
- SG = P4/mmm (123)

Unit cell a=3.489 b=3.489 c=6.960 alpha=90.00 beta=90.00 gamma=90.00
Positions (direct):
1 Yb 0.000 0.000 0.239
2 Yb 0.000 0.000 0.761
3 Ag 0.500 0.500 0.500
4 Pd 0.500 0.500 0.000

=====

(4)
Entry from the Materials Project database: a geometry-optimized NdPt structure (meta-GGA r2SCAN).

Results
- total energy (eV for the cell shown) = -166.9
- ΔE_f (meV/atom) = -1261
- SG = Cmcm (63)

Unit cell a=5.767 b=5.767 c=4.525 alpha=90.00 beta=90.00 gamma=140.10
Positions (direct):
1 Nd 0.138 0.862 0.750
2 Nd 0.862 0.138 0.250
3 Pt 0.413 0.587 0.750
4 Pt 0.587 0.413 0.250

=====

(5)
Entry from the Materials Project database: a geometry-optimized ZnPd2 structure (meta-GGA r2SCAN).

Results
- total energy (eV for the cell shown) = -112.2
- ΔE_f (meV/atom) = -429
- SG = P4/mmm (123)

Unit cell a=2.890 b=2.890 c=10.292 alpha=90.00 beta=90.00 gamma=90.00
Positions (direct):
1 Zn 0.000 0.000 0.164
2 Zn 0.000 0.000 0.836
3 Pd 0.000 0.000 0.500
4 Pd 0.500 0.500 0.000
5 Pd 0.500 0.500 0.315
6 Pd 0.500 0.500 0.685

=====

(6)
Entry from the Materials Project database: a geometry-optimized ScGa3 structure (meta-GGA r2SCAN).

Results
- total energy (eV for the cell shown) = -47.8
- ΔE_f (meV/atom) = -514
- SG = Pm-3m (221)

Unit cell a=4.082 b=4.082 c=4.082 alpha=90.00 beta=90.00 gamma=90.00
Positions (direct):
1 Sc 0.000 0.000 0.000
2 Ga 0.000 0.500 0.500
3 Ga 0.500 0.000 0.500
4 Ga 0.500 0.500 0.000

=====

(7)
Entry from the Materials Project database: a geometry-optimized CdBiSe2I structure (meta-GGA r2SCAN).

Results
- total energy (eV for the cell shown) = -269.3
- ΔE_f (meV/atom) = -574
- SG = C2/m (12)

Unit cell a=7.205 b=7.205 c=10.323 alpha=91.34 beta=91.34 gamma=34.03
Positions (direct):
1 Cd 0.000 0.000 0.000
2 Cd 0.000 0.000 0.500
3 Bi 0.286 0.286 0.684
4 Bi 0.714 0.714 0.316
5 Se 0.081 0.081 0.260
6 Se 0.358 0.358 0.442
7 Se 0.642 0.642 0.558
8 Se 0.919 0.919 0.740
9 I 0.362 0.362 0.075
10 I 0.638 0.638 0.925

=====

(8)
Entry from the Materials Project database: a geometry-optimized LaCu2Sn2 structure (meta-GGA r2SCAN).

Results
- total energy (eV for the cell shown) = -206.9
- ΔE_f (meV/atom) = -506
- SG = P4/nmm (129)

Unit cell a=4.490 b=4.490 c=10.645 alpha=90.00 beta=90.00 gamma=90.00
Positions (direct):
1 La 0.250 0.250 0.239
2 La 0.750 0.750 0.761
3 Cu 0.250 0.250 0.635
4 Cu 0.250 0.750 0.000
5 Cu 0.750 0.250 0.000
6 Cu 0.750 0.750 0.365
7 Sn 0.250 0.250 0.875
8 Sn 0.250 0.750 0.500
9 Sn 0.750 0.250 0.500
10 Sn 0.750 0.750 0.125

=====

(9)
Entry from the Materials Project database: a geometry-optimized Al3Ni structure (meta-GGA r2SCAN).

Results
- total energy (eV for the cell shown) = -135.4
- ΔE_f (meV/atom) = -419
- SG = Pnma (62)

Unit cell a=6.559 b=7.304 c=4.771 alpha=90.00 beta=90.00 gamma=90.00
Positions (direct):
1 Al 0.010 0.250 0.084
2 Al 0.171 0.056 0.636
3 Al 0.171 0.444 0.636
4 Al 0.329 0.556 0.136
5 Al 0.329 0.944 0.136
6 Al 0.490 0.750 0.584
7 Al 0.510 0.250 0.416
8 Al 0.671 0.056 0.864
9 Al 0.671 0.444 0.864
10 Al 0.829 0.556 0.364
11 Al 0.829 0.944 0.364
12 Al 0.990 0.750 0.916
13 Ni 0.129 0.750 0.444
14 Ni 0.371 0.250 0.944
15 Ni 0.629 0.750 0.056
16 Ni 0.871 0.250 0.556

=====

(10)
Entry from the Materials Project database: a geometry-optimized VF2 structure (meta-GGA r2SCAN).

Results
- total energy (eV for the cell shown) = -58.8
- ΔE_f (meV/atom) = -3017
- SG = P4_2/mnm (136)

Unit cell a=4.778 b=4.778 c=3.259 alpha=90.00 beta=90.00 gamma=90.00
Positions (direct):
1 V 0.000 0.000 0.000
2 V 0.500 0.500 0.500
3 F 0.194 0.194 0.500
4 F 0.306 0.694 0.000
5 F 0.694 0.306 0.000
6 F 0.806 0.806 0.500

=====

(11)
Entry from the Materials Project database: a geometry-optimized RbCuF3 structure (meta-GGA r2SCAN).

Results
- total energy (eV for the cell shown) = -91.9
- ΔE_f (meV/atom) = -2364
- SG = I4/mcm (140)

Unit cell a=5.786 b=5.786 c=5.786 alpha=117.56 beta=117.56 gamma=94.29
Positions (direct):
1 Rb 0.250 0.250 0.000
2 Rb 0.750 0.750 0.000
3 Cu 0.000 0.500 0.500
4 Cu 0.500 0.000 0.500
5 F 0.221 0.721 0.942
6 F 0.250 0.750 0.500
7 F 0.279 0.221 0.500
8 F 0.721 0.779 0.500
9 F 0.750 0.250 0.500
10 F 0.779 0.279 0.058

=====

(12)
Entry from the Materials Project database: a geometry-optimized PrAs12Ru4 structure (meta-GGA r2SCAN).

Results
- total energy (eV for the cell shown) = -316.6
- ΔE_f (meV/atom) = -530
- SG = Im-3 (204)

Unit cell a=7.397 b=7.397 c=7.397 alpha=109.47 beta=109.47 gamma=109.47
Positions (direct):
1 Pr 0.000 0.000 0.000
2 As 0.150 0.350 0.500
3 As 0.150 0.650 0.800
4 As 0.200 0.850 0.350
5 As 0.350 0.200 0.850
6 As 0.350 0.500 0.150
7 As 0.500 0.150 0.350
8 As 0.500 0.850 0.650
9 As 0.650 0.500 0.850
10 As 0.650 0.800 0.150
11 As 0.800 0.150 0.650
12 As 0.850 0.350 0.200
13 As 0.850 0.650 0.500
14 Ru 0.000 0.000 0.500
15 Ru 0.000 0.500 0.000
16 Ru 0.500 0.000 0.000
17 Ru 0.500 0.500 0.500

=====

(13)
Entry from the Materials Project database: a geometry-optimized OsCl2O structure (meta-GGA r2SCAN).

Results
- total energy (eV for the cell shown) = -74.3
- ΔE_f (meV/atom) = -748
- SG = C2/m (12)

Unit cell a=6.294 b=6.294 c=3.706 alpha=106.78 beta=106.78 gamma=33.28
Positions (direct):
1 Os 0.000 0.000 0.000
2 Cl 0.363 0.363 0.865
3 Cl 0.637 0.637 0.135
4 O 0.000 0.000 0.500

=====

(14)
Entry from the Materials Project database: a geometry-optimized K2ErF5 structure (meta-GGA r2SCAN).

Results
- total energy (eV for the cell shown) = -367.2
- ΔE_f (meV/atom) = -3776
- SG = Pnma (62)

Unit cell a=10.683 b=7.158 c=6.523 alpha=90.00 beta=90.00 gamma=90.00
Positions (direct):
1 K 0.171 0.003 0.037
2 K 0.171 0.497 0.037
3 K 0.329 0.503 0.537
4 K 0.329 0.997 0.537
5 K 0.671 0.003 0.463
6 K 0.671 0.497 0.463
7 K 0.829 0.503 0.963
8 K 0.829 0.997 0.963
9 Er 0.003 0.250 0.565
10 Er 0.497 0.750 0.065
11 Er 0.503 0.250 0.935
12 Er 0.997 0.750 0.435
13 F 0.013 0.250 0.895
14 F 0.074 0.536 0.649
15 F 0.074 0.964 0.649
16 F 0.168 0.250 0.373
17 F 0.192 0.750 0.340
18 F 0.308 0.250 0.840
19 F 0.332 0.750 0.873
20 F 0.426 0.036 0.149
21 F 0.426 0.464 0.149
22 F 0.487 0.750 0.395
23 F 0.513 0.250 0.605
24 F 0.574 0.536 0.851
25 F 0.574 0.964 0.851
26 F 0.668 0.250 0.127
27 F 0.692 0.750 0.160
28 F 0.808 0.250 0.660
29 F 0.832 0.750 0.627
30 F 0.926 0.036 0.351
31 F 0.926 0.464 0.351
32 F 0.987 0.750 0.105

=====

(15)
Entry from the Materials Project database: a geometry-optimized Cs3IO structure (meta-GGA r2SCAN).

Results
- total energy (eV for the cell shown) = -226.1
- ΔE_f (meV/atom) = -1438
- SG = P6_3/mmc (194)

Unit cell a=8.115 b=8.115 c=7.207 alpha=90.00 beta=90.00 gamma=120.00
Positions (direct):
1 Cs 0.155 0.311 0.250
2 Cs 0.155 0.845 0.250
3 Cs 0.311 0.155 0.750
4 Cs 0.689 0.845 0.250
5 Cs 0.845 0.155 0.750
6 Cs 0.845 0.689 0.750
7 I 0.333 0.667 0.750
8 I 0.667 0.333 0.250
9 O 0.000 0.000 0.000
10 O 0.000 0.000 0.500

=====

(16)
Entry from the Materials Project database: a geometry-optimized Gd2NiRu structure (meta-GGA r2SCAN).

Results
- total energy (eV for the cell shown) = -125.3
- ΔE_f (meV/atom) = -276
- SG = Fm-3m (225)

Unit cell a=4.837 b=4.837 c=4.837 alpha=60.00 beta=60.00 gamma=60.00
Positions (direct):
1 Gd 0.250 0.250 0.250
2 Gd 0.750 0.750 0.750
3 Ni 0.000 0.000 0.000
4 Ru 0.500 0.500 0.500

=====

(17)
Entry from the Materials Project database: a geometry-optimized HfMnP structure (meta-GGA r2SCAN).

Results
- total energy (eV for the cell shown) = -288.4
- ΔE_f (meV/atom) = -1086
- SG = Pnma (62)

Unit cell a=6.370 b=3.581 c=7.503 alpha=90.00 beta=90.00 gamma=90.00
Positions (direct):
1 Hf 0.035 0.250 0.175
2 Hf 0.465 0.750 0.675
3 Hf 0.535 0.250 0.325
4 Hf 0.965 0.750 0.825
5 Mn 0.135 0.250 0.560
6 Mn 0.365 0.750 0.060
7 Mn 0.635 0.250 0.940
8 Mn 0.865 0.750 0.440
9 P 0.237 0.750 0.370
10 P 0.263 0.250 0.870
11 P 0.737 0.750 0.130
12 P 0.763 0.250 0.630

=====

(18)
Entry from the Materials Project database: a geometry-optimized BiPO4 structure (meta-GGA r2SCAN).

Results
- total energy (eV for the cell shown) = -208.3
- ΔE_f (meV/atom) = -2127
- SG = P2_1/m (11)

Unit cell a=4.717 b=7.167 c=4.722 alpha=90.00 beta=95.40 gamma=90.00
Positions (direct):
1 Bi 0.134 0.250 0.136
2 Bi 0.866 0.750 0.864
3 P 0.346 0.750 0.342
4 P 0.654 0.250 0.658
5 O 0.193 0.582 0.188
6 O 0.193 0.918 0.188
7 O 0.313 0.750 0.661
8 O 0.334 0.250 0.691
9 O 0.666 0.750 0.309
10 O 0.687 0.250 0.339
11 O 0.807 0.082 0.812
12 O 0.807 0.418 0.812

=====

(19)
Entry from the Materials Project database: a geometry-optimized GaPPt5 structure (meta-GGA r2SCAN).

Results
- total energy (eV for the cell shown) = -281.4
- ΔE_f (meV/atom) = -502
- SG = P4/mmm (123)

Unit cell a=3.918 b=3.918 c=6.885 alpha=90.00 beta=90.00 gamma=90.00
Positions (direct):
1 Ga 0.000 0.000 0.000
2 P 0.500 0.500 0.500
3 Pt 0.000 0.500 0.290
4 Pt 0.000 0.500 0.710
5 Pt 0.500 0.000 0.290
6 Pt 0.500 0.000 0.710
7 Pt 0.500 0.500 0.000

=====

(20)
Entry from the Materials Project database: a geometry-optimized Sn2Pt structure (meta-GGA r2SCAN).

Results
- total energy (eV for the cell shown) = -102.3
- ΔE_f (meV/atom) = -450
- SG = Fm-3m (225)

Unit cell a=4.586 b=4.586 c=4.586 alpha=60.00 beta=60.00 gamma=60.00
Positions (direct):
1 Sn 0.250 0.250 0.250
2 Sn 0.750 0.750 0.750
3 Pt 0.000 0.000 0.000